No. 1
Here is a relaxed structure of Li3MnCoO5 from Materials Project. Energies are from GGA+U. Values from VASP.

Results
ΔH_f (0 K): -1.94 eV per atom
Energy relative to the lowest polymorph listed for this composition: 0.18 eV/f.u.

```
&SYSTEM
  ibrav = 0, nat = 20, ntyp = 4
/
ATOMIC_SPECIES
Li 6.94 Li.upf
Mn 54.94 Mn.upf
Co 58.93 Co.upf
O 16.00 O.upf
CELL_PARAMETERS angstrom
2.903 0.000 0.000
1.315 4.895 0.000
1.124 2.316 12.548
ATOMIC_POSITIONS crystal
Li 0.000 0.000 0.000
Li 0.096 0.506 0.299
Li 0.283 0.496 0.911
Li 0.500 0.500 0.500
Li 0.717 0.504 0.089
Li 0.904 0.494 0.701
Mn 0.403 0.011 0.192
Mn 0.597 0.989 0.808
Co 0.192 0.002 0.600
Co 0.808 0.998 0.400
O 0.024 0.781 0.157
O 0.149 0.231 0.448
O 0.220 0.776 0.752
O 0.350 0.239 0.063
O 0.460 0.776 0.347
O 0.540 0.224 0.653
O 0.650 0.761 0.937
O 0.780 0.224 0.248
O 0.851 0.769 0.552
O 0.976 0.219 0.843
```

No. 2
Here is a relaxed structure of Li7Mn4CoO12 from Materials Project. Energies are from GGA+U. Values from VASP.

Results
ΔH_f (0 K): -2.04 eV per atom
Energy relative to the lowest polymorph listed for this composition: 0.95 eV/f.u.

```
&SYSTEM
  ibrav = 0, nat = 24, ntyp = 4
/
ATOMIC_SPECIES
Li 6.94 Li.upf
Mn 54.94 Mn.upf
Co 58.93 Co.upf
O 16.00 O.upf
CELL_PARAMETERS angstrom
2.612 -4.304 0.000
2.612 4.304 0.000
-1.244 0.000 9.677
ATOMIC_POSITIONS crystal
Li 0.000 0.000 0.000
Li 0.089 0.411 0.246
Li 0.249 0.254 0.758
Li 0.413 0.079 0.246
Li 0.589 0.911 0.754
Li 0.746 0.751 0.242
Li 0.921 0.587 0.754
Mn 0.168 0.832 0.500
Mn 0.501 0.499 0.500
Mn 0.669 0.331 0.000
Mn 0.834 0.166 0.500
Co 0.332 0.668 0.000
O 0.032 0.667 0.108
O 0.103 0.101 0.380
O 0.230 0.562 0.618
O 0.333 0.968 0.892
O 0.394 0.396 0.111
O 0.438 0.770 0.382
O 0.564 0.228 0.618
O 0.604 0.606 0.889
O 0.669 0.023 0.109
O 0.772 0.436 0.382
O 0.899 0.897 0.620
O 0.977 0.331 0.891
```